[1]
# PmLuMg2 r2SCAN optimized geometry
# E_form: -2.10 kcal/mol of atoms
data_PmLuMg2
_cell_length_a 5.368
_cell_length_b 5.368
_cell_length_c 5.368
_cell_angle_alpha 60.00
_cell_angle_beta 60.00
_cell_angle_gamma 60.00
_symmetry_space_group_name_H-M 'P 1'
_symmetry_Int_Tables_number 1
loop_
_symmetry_equiv_pos_as_xyz
'x,y,z'
loop_
_atom_site_label
_atom_site_fract_x
_atom_site_fract_y
_atom_site_fract_z
_atom_site_occupancy
Pm1 0.000 0.000 0.000 1
Lu1 0.500 0.500 0.500 1
Mg1 0.250 0.250 0.250 1
Mg2 0.750 0.750 0.750 1

[2]
# PrLuMg2 r2SCAN optimized geometry
# E_form: -2.02 kcal/mol of atoms
data_PrLuMg2
_cell_length_a 5.399
_cell_length_b 5.399
_cell_length_c 5.399
_cell_angle_alpha 60.00
_cell_angle_beta 60.00
_cell_angle_gamma 60.00
_symmetry_space_group_name_H-M 'P 1'
_symmetry_Int_Tables_number 1
loop_
_symmetry_equiv_pos_as_xyz
'x,y,z'
loop_
_atom_site_label
_atom_site_fract_x
_atom_site_fract_y
_atom_site_fract_z
_atom_site_occupancy
Pr1 0.000 0.000 0.000 1
Lu1 0.500 0.500 0.500 1
Mg1 0.250 0.250 0.250 1
Mg2 0.750 0.750 0.750 1